Arrangement A

28
Lattice="6.060 0.000 0.000 -0.226 6.216 0.000 -0.096 -0.288 8.415" Properties=species:S:1:pos:R:3 comment="Li2Mn3SnO8 PBE with a Hubbard U relaxed" spacegroup="No. 2" crystal_system=triclinic pbc="T T T"
Li 1.352 3.056 1.120
Li 1.483 -0.105 3.123
Li 4.255 6.034 5.292
Li 4.386 2.873 7.295
Mn 0.000 0.000 0.000
Mn -0.161 2.964 4.207
Mn 1.264 4.453 6.292
Mn 3.030 0.000 0.000
Mn 2.869 2.964 4.207
Mn 4.474 1.475 2.123
Sn 1.341 1.332 6.303
Sn 4.397 4.597 2.112
O -0.068 -0.181 6.497
O -0.043 2.956 6.159
O 1.176 1.542 4.239
O 1.243 1.142 8.378
O 1.203 4.654 8.276
O 1.305 4.261 4.326
O 2.532 5.969 6.382
O 2.773 2.818 6.160
O 2.965 3.111 2.255
O 3.206 -0.040 2.033
O 4.433 1.667 4.089
O 4.535 1.274 0.139
O 4.495 4.786 0.037
O 4.562 4.387 4.176
O 5.781 2.973 2.256
O 5.806 6.110 1.918


Arrangement B

28
Lattice="2.928 -5.312 0.000 2.928 5.312 0.000 0.000 0.000 9.764" Properties=species:S:1:pos:R:3 comment="Li2Mn3SnO8 PBE with a Hubbard U relaxed" spacegroup="No. 36" crystal_system=orthorhombic pbc="T T T"
Li 2.928 5.257 4.882
Li 2.928 1.670 3.938
Li 2.928 -1.670 8.820
Li 2.928 -5.257 0.000
Mn 1.485 0.888 7.057
Mn 2.928 3.498 7.047
Mn 1.485 -0.888 2.175
Mn 4.371 0.888 7.057
Mn 2.928 -3.498 2.165
Mn 4.371 -0.888 2.175
Sn 2.928 1.914 9.745
Sn 2.928 -1.914 4.863
O 2.928 5.250 7.926
O 1.640 2.734 8.272
O 1.382 1.006 1.004
O 2.928 3.716 1.065
O 2.928 1.804 6.075
O 1.382 -1.006 5.886
O 4.215 2.734 8.272
O 2.928 0.274 8.266
O 2.928 -0.274 3.384
O 1.640 -2.734 3.390
O 4.473 1.006 1.004
O 2.928 -1.804 1.193
O 2.928 -3.716 5.947
O 4.473 -1.006 5.886
O 4.215 -2.734 3.390
O 2.928 -5.250 3.044


Arrangement C

14
Lattice="2.995 1.729 5.115 -2.995 1.729 5.115 0.000 -3.458 5.115" Properties=species:S:1:pos:R:3 comment="Li2Mn3SnO8 PBE with a Hubbard U relaxed" spacegroup="No. 166" crystal_system=trigonal pbc="T T T"
Li 0.000 0.000 1.868
Li 0.000 0.000 13.477
Mn -1.497 -0.865 5.115
Mn -1.497 0.865 10.230
Mn 0.000 1.729 5.115
Sn 0.000 0.000 7.673
O 0.000 -1.603 6.329
O -1.388 0.801 6.329
O 0.000 0.000 4.177
O -1.388 -0.801 9.016
O 1.388 0.801 6.329
O 0.000 0.000 11.168
O 1.388 -0.801 9.016
O 0.000 1.603 9.016


Arrangement D

14
Lattice="3.033 1.751 4.858 -3.033 1.751 4.858 0.000 -3.502 4.858" Properties=species:S:1:pos:R:3 comment="Li2Mn3SnO8 PBE with a Hubbard U relaxed" spacegroup="No. 160" crystal_system=trigonal pbc="T T T"
Li 0.000 0.000 0.000
Li 0.000 0.000 5.508
Mn 0.000 -1.685 2.347
Mn -1.459 0.843 2.347
Mn 1.459 0.843 2.347
Sn 0.000 0.000 8.872
O -1.660 -0.958 8.300
O 0.000 0.000 3.530
O 0.000 -1.908 6.222
O -1.652 0.954 6.222
O 0.000 0.000 10.880
O 1.660 -0.958 8.300
O 0.000 1.916 8.300
O 1.652 0.954 6.222


Stability summary: most stable arrangement B, least stable arrangement D.


Arrangement A

56
Lattice="8.348 0.000 0.000 0.000 8.709 0.000 0.000 0.000 8.744" Properties=species:S:1:pos:R:3 comment="Li2Mn3SnO8 PBE with a Hubbard U relaxed" spacegroup="No. 19" crystal_system=orthorhombic pbc="T T T"
Li 0.001 0.033 0.012
Li 8.346 4.387 4.360
Li 2.085 2.168 2.153
Li 2.089 6.541 6.525
Li 4.175 4.322 8.732
Li 4.173 8.676 4.384
Li 6.259 2.187 6.590
Li 6.263 6.522 2.218
Mn 0.974 1.108 5.480
Mn 1.044 3.296 7.621
Mn 1.113 5.434 1.074
Mn 3.061 3.275 5.446
Mn 3.130 5.413 3.249
Mn 3.200 7.601 1.108
Mn 5.148 3.247 3.264
Mn 5.218 1.058 1.123
Mn 5.287 7.629 7.669
Mn 7.235 1.080 3.297
Mn 7.304 7.651 5.494
Mn 7.374 5.462 7.635
Sn 1.044 7.623 3.274
Sn 3.130 1.086 7.646
Sn 5.218 5.440 5.470
Sn 7.304 3.269 1.098
O 0.834 1.009 3.315
O 0.893 7.758 5.405
O 0.966 5.270 7.731
O 1.022 3.301 0.844
O 1.067 1.334 7.624
O 1.122 3.177 5.642
O 1.195 5.501 3.146
O 1.247 7.581 1.180
O 2.926 1.128 5.552
O 2.979 3.208 7.517
O 3.052 5.532 1.270
O 3.107 7.375 3.252
O 3.152 5.408 5.216
O 3.208 3.439 3.359
O 3.281 0.951 1.033
O 3.339 7.700 7.687
O 5.008 3.346 5.429
O 5.067 5.306 3.339
O 5.140 7.793 1.013
O 5.195 1.054 7.899
O 5.241 3.021 1.119
O 5.296 1.178 3.102
O 5.368 7.562 5.598
O 5.421 5.482 7.563
O 7.100 3.227 3.192
O 7.153 1.147 1.226
O 7.226 7.531 7.473
O 7.280 5.688 5.491
O 7.326 7.655 3.527
O 7.381 0.916 5.384
O 7.455 3.403 7.711
O 7.513 5.363 1.057


Arrangement B

28
Lattice="6.023 0.000 0.000 2.844 5.363 0.000 2.850 -1.077 9.834" Properties=species:S:1:pos:R:3 comment="Li2Mn3SnO8 PBE with a Hubbard U relaxed" spacegroup="No. 2" crystal_system=triclinic pbc="T T T"
Li 2.965 2.053 3.102
Li 5.826 4.200 8.020
Li 5.892 0.087 1.814
Li 8.752 2.234 6.732
Mn 3.012 0.000 0.000
Mn 4.437 -0.538 4.917
Mn 5.868 0.541 7.381
Mn 4.434 2.682 0.000
Mn 5.859 2.143 4.917
Mn 5.849 3.745 2.453
Sn 1.425 -0.538 4.917
Sn 1.422 2.682 0.000
O 3.019 0.190 3.799
O 3.014 1.946 1.114
O 5.867 2.334 8.713
O 4.528 3.059 3.760
O 5.866 4.087 6.033
O 4.544 -0.159 8.677
O 4.536 4.345 1.082
O 4.555 1.122 6.013
O 7.163 3.165 3.821
O 7.182 -0.058 8.752
O 7.173 4.446 1.157
O 5.852 0.199 3.801
O 7.189 1.228 6.074
O 5.850 1.953 1.120
O 8.703 2.340 8.720
O 8.699 4.097 6.035


Stability summary: most stable arrangement B, least stable arrangement A.